Compound: Mg4Nb2O9
Source: Materials Project
Functional: PBE-GGA
Structure: relaxed

Structure (CIF):
```
data_Mg4Nb2O9
_symmetry_space_group_name_H-M 'P -3 c 1'
_symmetry_Int_Tables_number 165
_symmetry_space_group_name_Hall '-P 3 2"c'
_cell_length_a 5.2255
_cell_length_b 5.2255
_cell_length_c 14.1990
_cell_angle_alpha 90.00
_cell_angle_beta 90.00
_cell_angle_gamma 120.00
loop_
_atom_site_label
_atom_site_type_symbol
_atom_site_fract_x
_atom_site_fract_y
_atom_site_fract_z
Mg1 Mg 0.3333 0.6667 0.1922
Mg2 Mg 0.3333 0.6667 0.4834
Nb1 Nb 0.0000 0.0000 0.1420
O1 O 0.0000 0.2902 0.2500
O2 O 0.0290 0.3476 0.5844
```

Results
As for the total DFT energy (no corrections): -222.902 eV for the cell shown. For the formation enthalpy at 0 K, the calculation gives -3.10 eV/atom. As for the calculated volume: 11.19 Å³/atom.


Compound: Ba3Mo
Source: Materials Project
Functional: PBE-GGA
Structure: relaxed

Structure (CIF):
```
data_Ba3Mo
_symmetry_space_group_name_H-M 'F m -3 m'
_symmetry_Int_Tables_number 225
_symmetry_space_group_name_Hall '-F 4 2 3'
_cell_length_a 8.795
_cell_length_b 8.795
_cell_length_c 8.795
_cell_angle_alpha 90.00
_cell_angle_beta 90.00
_cell_angle_gamma 90.00
loop_
_atom_site_label
_atom_site_type_symbol
_atom_site_fract_x
_atom_site_fract_y
_atom_site_fract_z
Ba1 Ba 0.000 0.000 0.000
Ba2 Ba 0.250 0.250 0.250
Mo1 Mo 0.000 0.000 0.500
```

Results
As for the total DFT energy (no corrections): -52.164 eV for the cell shown. For the formation enthalpy at 0 K, the calculation gives 0.89 eV/atom. As for the calculated volume: 42.52 Å³/atom.


Compound: NaAlSiGeS2O12
Source: Materials Project
Functional: PBE-GGA
Structure: relaxed

Structure (CIF):
```
data_NaAlSiGeS2O12
_symmetry_space_group_name_H-M 'C 1 c 1'
_symmetry_Int_Tables_number 9
_cell_length_a 14.552
_cell_length_b 8.439
_cell_length_c 21.903
_cell_angle_alpha 90.00
_cell_angle_beta 90.51
_cell_angle_gamma 90.00
loop_
_symmetry_equiv_pos_as_xyz
'x,y,z'
'x,-y,z+1/2'
'x+1/2,y+1/2,z'
'x+1/2,-y+1/2,z+1/2'
loop_
_atom_site_label
_atom_site_type_symbol
_atom_site_fract_x
_atom_site_fract_y
_atom_site_fract_z
Na1 Na 0.000 0.004 0.000
Na2 Na 0.176 0.484 0.333
Na3 Na 0.337 0.012 0.166
Al1 Al 0.007 0.002 0.356
Al2 Al 0.179 0.478 0.190
Al3 Al 0.345 0.002 0.522
Si1 Si 0.147 0.143 0.253
Si2 Si 0.322 0.348 0.087
Si3 Si 0.345 0.288 0.420
Ge1 Ge 0.008 0.003 0.649
Ge2 Ge 0.190 0.493 0.483
Ge3 Ge 0.331 0.015 0.315
S1 S 0.010 0.292 0.752
S2 S 0.034 0.360 0.084
S3 S 0.175 0.216 0.586
S4 S 0.197 0.145 0.919
S5 S 0.363 0.352 0.753
S6 S 0.485 0.141 0.918
O1 O 0.022 0.195 0.807
O2 O 0.025 0.185 0.089
O3 O 0.074 0.432 0.139
O4 O 0.076 0.438 0.425
O5 O 0.086 0.105 0.312
O6 O 0.090 0.385 0.028
O7 O 0.093 0.111 0.589
O8 O 0.095 0.383 0.742
O9 O 0.106 0.058 0.190
O10 O 0.108 0.067 0.911
O11 O 0.154 0.309 0.529
O12 O 0.157 0.332 0.246
O13 O 0.182 0.319 0.924
O14 O 0.186 0.314 0.640
O15 O 0.241 0.076 0.973
O16 O 0.249 0.395 0.423
O17 O 0.250 0.054 0.255
O18 O 0.255 0.133 0.863
O19 O 0.259 0.119 0.579
O20 O 0.260 0.382 0.145
O21 O 0.269 0.416 0.744
O22 O 0.285 0.438 0.024
O23 O 0.321 0.188 0.357
O24 O 0.333 0.161 0.075
O25 O 0.359 0.177 0.761
O26 O 0.359 0.178 0.479
O27 O 0.402 0.431 0.807
O28 O 0.418 0.372 0.696
O29 O 0.424 0.437 0.095
O30 O 0.428 0.118 0.973
O31 O 0.430 0.097 0.257
O32 O 0.433 0.401 0.409
O33 O 0.442 0.069 0.578
O34 O 0.445 0.070 0.861
O35 O 0.485 0.302 0.196
O36 O 0.496 0.313 0.912
```

Results
As for the total DFT energy (no corrections): -1395.492 eV for the cell shown. For the formation enthalpy at 0 K, the calculation gives -2.32 eV/atom. As for the calculated volume: 12.45 Å³/atom.


Compound: K2LiP3O10
Source: Materials Project
Functional: PBE-GGA
Structure: relaxed

Structure (CIF):
```
data_K2LiP3O10
_symmetry_space_group_name_H-M 'P 1 21/c 1'
_symmetry_Int_Tables_number 14
_cell_length_a 8.700
_cell_length_b 14.569
_cell_length_c 7.881
_cell_angle_alpha 90.00
_cell_angle_beta 97.46
_cell_angle_gamma 90.00
loop_
_symmetry_equiv_pos_as_xyz
'x,y,z'
'-x,-y,-z'
'-x,y+1/2,-z+1/2'
'x,-y+1/2,z+1/2'
loop_
_atom_site_label
_atom_site_type_symbol
_atom_site_fract_x
_atom_site_fract_y
_atom_site_fract_z
K1 K 0.036 0.093 0.331
K2 K 0.321 0.715 0.449
Li1 Li 0.419 0.115 0.348
P1 P 0.013 0.156 0.788
P2 P 0.257 0.045 0.980
P3 P 0.335 0.179 0.725
O1 O 0.032 0.590 0.852
O2 O 0.095 0.102 0.959
O3 O 0.100 0.725 0.660
O4 O 0.164 0.218 0.745
O5 O 0.238 0.544 0.380
O6 O 0.311 0.042 0.168
O7 O 0.332 0.125 0.562
O8 O 0.345 0.581 0.100
O9 O 0.371 0.113 0.891
O10 O 0.448 0.242 0.258
```

Results
As for the total DFT energy (no corrections): -404.509 eV for the cell shown. For the formation enthalpy at 0 K, the calculation gives -2.38 eV/atom. As for the calculated volume: 15.48 Å³/atom.


Compound: KBaIn2P3O12
Source: Materials Project
Functional: PBE-GGA
Structure: relaxed

Structure (CIF):
```
data_KBaIn2P3O12
_symmetry_space_group_name_H-M 'P 1'
_symmetry_Int_Tables_number 1
_cell_length_a 10.336
_cell_length_b 10.339
_cell_length_c 20.674
_cell_angle_alpha 89.97
_cell_angle_beta 89.98
_cell_angle_gamma 89.98
loop_
_symmetry_equiv_pos_as_xyz
'x,y,z'
loop_
_atom_site_label
_atom_site_type_symbol
_atom_site_fract_x
_atom_site_fract_y
_atom_site_fract_z
K1 K 0.000 0.000 0.000
K2 K 0.002 0.001 0.499
K3 K 0.100 0.600 0.750
K4 K 0.363 0.737 0.430
K5 K 0.501 0.099 0.799
K6 K 0.601 0.502 0.049
K7 K 0.738 0.863 0.180
K8 K 0.864 0.363 0.367
Ba1 Ba 0.094 0.599 0.252
Ba2 Ba 0.236 0.235 0.117
Ba3 Ba 0.236 0.237 0.617
Ba4 Ba 0.364 0.739 0.931
Ba5 Ba 0.507 0.094 0.298
Ba6 Ba 0.598 0.504 0.546
Ba7 Ba 0.739 0.864 0.681
Ba8 Ba 0.863 0.362 0.869
In1 In 0.143 0.955 0.323
In2 In 0.144 0.957 0.821
In3 In 0.220 0.381 0.438
In4 In 0.221 0.379 0.939
In5 In 0.379 0.879 0.608
In6 In 0.382 0.879 0.110
In7 In 0.456 0.457 0.729
In8 In 0.460 0.459 0.227
In9 In 0.644 0.142 0.978
In10 In 0.648 0.143 0.476
In11 In 0.722 0.720 0.358
In12 In 0.722 0.722 0.861
In13 In 0.878 0.219 0.190
In14 In 0.881 0.221 0.689
In15 In 0.953 0.646 0.071
In16 In 0.960 0.645 0.570
P1 P 0.038 0.675 0.415
P2 P 0.039 0.675 0.915
P3 P 0.063 0.925 0.164
P4 P 0.063 0.925 0.665
P5 P 0.175 0.269 0.780
P6 P 0.176 0.270 0.280
P7 P 0.270 0.562 0.587
P8 P 0.270 0.563 0.087
P9 P 0.331 0.063 0.462
P10 P 0.332 0.062 0.962
P11 P 0.425 0.770 0.268
P12 P 0.426 0.770 0.768
P13 P 0.538 0.425 0.384
P14 P 0.538 0.425 0.884
P15 P 0.563 0.175 0.134
P16 P 0.563 0.175 0.634
P17 P 0.675 0.831 0.018
P18 P 0.676 0.831 0.518
P19 P 0.770 0.537 0.212
P20 P 0.770 0.538 0.712
P21 P 0.832 0.037 0.336
P22 P 0.832 0.038 0.836
P23 P 0.926 0.330 0.530
P24 P 0.926 0.331 0.031
O1 O 0.004 0.826 0.118
O2 O 0.038 0.731 0.984
O3 O 0.038 0.732 0.484
O4 O 0.046 0.321 0.987
O5 O 0.048 0.322 0.489
O6 O 0.055 0.279 0.737
O7 O 0.058 0.279 0.235
O8 O 0.063 0.869 0.734
O9 O 0.066 0.866 0.234
O10 O 0.099 0.771 0.366
O11 O 0.102 0.773 0.868
O12 O 0.124 0.554 0.409
O13 O 0.126 0.554 0.910
O14 O 0.130 0.564 0.116
O15 O 0.131 0.562 0.615
O16 O 0.136 0.312 0.850
O17 O 0.138 0.312 0.349
O18 O 0.202 0.964 0.643
O19 O 0.203 0.965 0.143
O20 O 0.232 0.130 0.780
O21 O 0.235 0.131 0.280
O22 O 0.238 0.003 0.412
O23 O 0.239 0.999 0.912
O24 O 0.274 0.362 0.748
O25 O 0.274 0.365 0.249
O26 O 0.278 0.475 0.027
O27 O 0.281 0.473 0.527
O28 O 0.289 0.201 0.981
O29 O 0.289 0.203 0.481
O30 O 0.312 0.701 0.067
O31 O 0.314 0.700 0.568
O32 O 0.322 0.976 0.022
O33 O 0.323 0.979 0.523
O34 O 0.327 0.862 0.799
O35 O 0.327 0.867 0.298
O36 O 0.362 0.499 0.136
O37 O 0.366 0.499 0.635
O38 O 0.366 0.631 0.267
O39 O 0.369 0.630 0.768
O40 O 0.399 0.462 0.405
O41 O 0.400 0.465 0.905
O42 O 0.463 0.812 0.199
O43 O 0.465 0.812 0.698
O44 O 0.471 0.063 0.933
O45 O 0.471 0.065 0.432
O46 O 0.473 0.057 0.139
O47 O 0.476 0.055 0.638
O48 O 0.499 0.272 0.182
O49 O 0.500 0.275 0.680
O50 O 0.536 0.365 0.315
O51 O 0.538 0.369 0.814
O52 O 0.546 0.780 0.311
O53 O 0.547 0.778 0.811
O54 O 0.552 0.821 0.059
O55 O 0.557 0.819 0.563
O56 O 0.562 0.232 0.064
O57 O 0.565 0.234 0.564
O58 O 0.598 0.328 0.433
O59 O 0.602 0.326 0.930
O60 O 0.624 0.546 0.389
O61 O 0.626 0.545 0.888
O62 O 0.631 0.536 0.682
O63 O 0.631 0.537 0.183
O64 O 0.635 0.789 0.948
O65 O 0.638 0.787 0.449
O66 O 0.700 0.138 0.155
O67 O 0.702 0.136 0.655
O68 O 0.731 0.970 0.017
O69 O 0.732 0.970 0.519
O70 O 0.734 0.098 0.385
O71 O 0.739 0.101 0.886
O72 O 0.772 0.735 0.550
O73 O 0.773 0.737 0.048
O74 O 0.777 0.625 0.772
O75 O 0.782 0.623 0.272
O76 O 0.788 0.899 0.318
O77 O 0.789 0.899 0.817
O78 O 0.812 0.399 0.731
O79 O 0.813 0.398 0.230
O80 O 0.819 0.124 0.276
O81 O 0.822 0.125 0.776
O82 O 0.826 0.238 0.501
O83 O 0.827 0.239 0.998
O84 O 0.862 0.601 0.662
O85 O 0.866 0.470 0.532
O86 O 0.868 0.598 0.163
O87 O 0.870 0.471 0.030
O88 O 0.899 0.638 0.393
O89 O 0.900 0.635 0.893
O90 O 0.965 0.288 0.100
O91 O 0.965 0.289 0.600
O92 O 0.971 0.038 0.365
O93 O 0.971 0.038 0.864
O94 O 0.976 0.045 0.660
O95 O 0.980 0.048 0.160
O96 O 0.999 0.826 0.618
```

Results
As for the total DFT energy (no corrections): -1018.908 eV for the cell shown. For the formation enthalpy at 0 K, the calculation gives -2.71 eV/atom. As for the calculated volume: 14.53 Å³/atom.


Compound: Ca4GaSn3
Source: Materials Project
Functional: PBE-GGA
Structure: relaxed

Structure (CIF):
```
data_Ca4GaSn3
_symmetry_space_group_name_H-M 'P m m 2'
_symmetry_Int_Tables_number 25
_cell_length_a 4.417
_cell_length_b 4.723
_cell_length_c 11.418
_cell_angle_alpha 90.00
_cell_angle_beta 90.00
_cell_angle_gamma 90.00
loop_
_symmetry_equiv_pos_as_xyz
'x,y,z'
'-x,-y,z'
'-x,y,z'
'x,-y,z'
loop_
_atom_site_label
_atom_site_type_symbol
_atom_site_fract_x
_atom_site_fract_y
_atom_site_fract_z
Ca1 Ca 0.000 0.000 0.000
Ca2 Ca 0.000 0.500 0.493
Ca3 Ca 0.500 0.000 0.265
Ca4 Ca 0.500 0.500 0.769
Ga1 Ga 0.000 0.500 0.212
Sn1 Sn 0.000 0.000 0.716
Sn2 Sn 0.500 0.000 0.548
Sn3 Sn 0.500 0.500 0.057
```

Results
As for the total DFT energy (no corrections): -28.031 eV for the cell shown. For the formation enthalpy at 0 K, the calculation gives -0.62 eV/atom. As for the calculated volume: 29.78 Å³/atom.


Compound: Cs3Cr2I9
Source: Materials Project
Functional: PBE-GGA
Structure: relaxed

Structure (CIF):
```
data_Cs3Cr2I9
_symmetry_space_group_name_H-M 'P 63/m m c'
_symmetry_Int_Tables_number 194
_symmetry_space_group_name_Hall '-P 6c 2c'
_cell_length_a 8.2812
_cell_length_b 8.2812
_cell_length_c 20.8316
_cell_angle_alpha 90.00
_cell_angle_beta 90.00
_cell_angle_gamma 120.00
loop_
_atom_site_label
_atom_site_type_symbol
_atom_site_fract_x
_atom_site_fract_y
_atom_site_fract_z
Cs1 Cs 0.0000 0.0000 0.2500
Cs2 Cs 0.3333 0.6667 0.0704
Cr1 Cr 0.3333 0.6667 0.6629
I1 I 0.0326 0.5163 0.7500
I2 I 0.1753 0.3506 0.5921
```

Results
As for the total DFT energy (no corrections): -97.411 eV for the cell shown. For the formation enthalpy at 0 K, the calculation gives -1.17 eV/atom. As for the calculated volume: 44.19 Å³/atom.


Compound: NpH3
Source: Materials Project
Functional: PBE-GGA
Structure: relaxed

Structure (CIF):
```
data_NpH3
_symmetry_space_group_name_H-M 'P 63/m m c'
_symmetry_Int_Tables_number 194
_symmetry_space_group_name_Hall '-P 6c 2c'
_cell_length_a 3.7132
_cell_length_b 3.7132
_cell_length_c 6.6289
_cell_angle_alpha 90.00
_cell_angle_beta 90.00
_cell_angle_gamma 120.00
loop_
_atom_site_label
_atom_site_type_symbol
_atom_site_fract_x
_atom_site_fract_y
_atom_site_fract_z
Np1 Np 0.3333 0.6667 0.2500
H1 H 0.0000 0.0000 0.2500
H2 H 0.3333 0.6667 0.5950
```

Results
As for the total DFT energy (no corrections): -47.910 eV for the cell shown. For the formation enthalpy at 0 K, the calculation gives -0.34 eV/atom. As for the calculated volume: 9.89 Å³/atom.